P:
Below is a relaxed structure of Rb2TeW3O12, with properties calculated at the PBE+U level.

Structure (POSCAR):
```
Rb2TeW3O12
1.0
-3.786 4.251 -4.739
2.472 -6.644 -2.147
-10.680 -5.218 3.852
O Rb W Te
24 4 6 2
direct
0.247 0.127 0.180
0.120 0.873 0.680
0.127 0.247 0.680
0.452 0.540 0.134
0.130 0.866 0.005
0.540 0.452 0.634
0.612 0.804 0.310
0.880 0.753 0.180
0.460 0.912 0.134
0.870 0.736 0.505
0.088 0.548 0.134
0.548 0.088 0.634
0.912 0.460 0.634
0.134 0.264 0.005
0.196 0.808 0.310
0.753 0.880 0.680
0.736 0.870 0.005
0.264 0.134 0.505
0.804 0.612 0.810
0.873 0.120 0.180
0.866 0.130 0.505
0.808 0.196 0.810
0.192 0.388 0.310
0.388 0.192 0.810
0.667 0.333 0.375
0.667 0.333 0.996
0.333 0.667 0.496
0.333 0.667 0.875
0.662 0.808 0.171
0.192 0.854 0.171
0.338 0.146 0.671
0.146 0.338 0.171
0.854 0.192 0.671
0.808 0.662 0.671
0.000 0.000 0.433
0.000 0.000 0.933
```

Output
The value obtained for the mass density is 5.83 g/cm3. Its space-group type is P31c (159).

Q:
Below is a relaxed structure of Rb2TeW3O12, with properties calculated at the PBE+U level.

Structure (POSCAR):
```
Rb2TeW3O12
1.0
3.711 -6.428 0.000
3.711 6.428 0.000
0.000 0.000 12.497
O Rb W Te
24 4 6 2
direct
0.876 0.124 0.180
0.248 0.124 0.180
0.869 0.131 0.504
0.088 0.544 0.133
0.737 0.869 0.004
0.806 0.612 0.811
0.194 0.806 0.311
0.912 0.456 0.633
0.544 0.088 0.633
0.612 0.806 0.311
0.456 0.544 0.133
0.194 0.388 0.311
0.131 0.869 0.004
0.124 0.876 0.680
0.806 0.194 0.811
0.876 0.752 0.180
0.456 0.912 0.133
0.124 0.248 0.680
0.131 0.263 0.004
0.869 0.737 0.504
0.544 0.456 0.633
0.388 0.194 0.811
0.263 0.131 0.504
0.752 0.876 0.680
0.333 0.667 0.497
0.333 0.667 0.878
0.667 0.333 0.997
0.667 0.333 0.378
0.662 0.831 0.170
0.831 0.662 0.670
0.169 0.338 0.170
0.338 0.169 0.670
0.169 0.831 0.170
0.831 0.169 0.670
0.000 0.000 0.431
0.000 0.000 0.931
```

Output
The value obtained for the mass density is 5.80 g/cm3. Its space-group type is P6_3mc (186).

Most stable structure among those shown: Q.